(1)
# LiV5O10

Crystalline LiV5O10 at its relaxed geometry (PBE+U, Materials Project).

Summary:
**ΔE_f**: -2.42 eV per atom
**Final energy**: -0.276 Ha/atom
**Energy relative to the lowest polymorph listed for this composition**: 13 meV/atom

abc: 5.112 5.148 7.814
angles: 74.17 74.87 78.97
Fractional coordinates of all 16 atoms:
Li 0.496 0.294 0.552
V 0.038 0.897 0.682
V 0.499 0.992 0.999
V 0.985 0.316 0.887
V 0.978 0.654 0.140
V 0.000 0.077 0.319
O 0.231 0.981 0.850
O 0.788 0.917 0.518
O 0.788 0.661 0.948
O 0.246 0.794 0.215
O 0.186 0.533 0.692
O 0.796 0.453 0.331
O 0.753 0.187 0.778
O 0.202 0.324 0.067
O 0.228 0.099 0.479
O 0.790 0.035 0.126

---

(2)
# LiFeSi3O8

Crystalline LiFeSi3O8 at its relaxed geometry (PBE+U, Materials Project).

Summary:
**ΔE_f**: -2.83 eV per atom
**Final energy**: -0.269 Ha/atom
**Energy relative to the lowest polymorph listed for this composition**: 13 meV/atom

abc: 7.384 7.388 7.896
angles: 107.25 116.94 101.36
Fractional coordinates of all 26 atoms:
Li 0.743 0.871 0.755
Li 0.257 0.129 0.245
Fe 0.834 0.202 0.173
Fe 0.166 0.798 0.827
Si 0.552 0.307 0.784
Si 0.767 0.351 0.556
Si 0.165 0.243 0.838
Si 0.835 0.757 0.162
Si 0.233 0.649 0.444
Si 0.448 0.693 0.216
O 0.679 0.181 0.897
O 0.935 0.259 0.688
O 0.682 0.555 0.932
O 0.875 0.602 0.669
O 0.541 0.268 0.560
O 0.106 0.043 0.881
O 0.297 0.232 0.718
O 0.686 0.250 0.309
O 0.314 0.750 0.691
O 0.703 0.768 0.282
O 0.894 0.957 0.119
O 0.459 0.732 0.440
O 0.125 0.398 0.331
O 0.318 0.445 0.068
O 0.065 0.741 0.312
O 0.321 0.819 0.103

---

(3)
# Nd2NiRuO6

Crystalline Nd2NiRuO6 at its relaxed geometry (PBE+U, Materials Project).

Summary:
**ΔE_f**: -2.58 eV per atom
**Final energy**: -0.270 Ha/atom

abc: 5.773 5.448 9.527
angles: 55.36 90.00 90.00
Fractional coordinates of all 20 atoms:
Nd 0.433 0.233 0.750
Nd 0.567 0.767 0.250
Nd 0.933 0.767 0.750
Nd 0.067 0.233 0.250
Ni 0.000 0.500 0.500
Ni 0.500 0.500 0.000
Ru 0.000 0.000 0.000
Ru 0.500 0.000 0.500
O 0.031 0.348 0.752
O 0.969 0.652 0.248
O 0.531 0.652 0.748
O 0.469 0.348 0.252
O 0.705 0.862 0.945
O 0.295 0.138 0.055
O 0.205 0.138 0.555
O 0.795 0.862 0.445
O 0.194 0.749 0.951
O 0.806 0.251 0.049
O 0.694 0.251 0.549
O 0.306 0.749 0.451

---

(4)
# Rb2MoO4

Crystalline Rb2MoO4 at its relaxed geometry (PBE+U, Materials Project).

Summary:
**ΔE_f**: -2.20 eV per atom
**Final energy**: -0.221 Ha/atom
**Energy relative to the lowest polymorph listed for this composition**: 0 meV/atom

abc: 7.286 7.286 8.039
angles: 66.93 66.93 52.35
Fractional coordinates of all 14 atoms:
Rb 0.156 0.156 0.252
Rb 0.844 0.844 0.748
Rb 0.513 0.513 0.762
Rb 0.487 0.487 0.238
Mo 0.824 0.824 0.225
Mo 0.176 0.176 0.775
O 0.629 0.085 0.082
O 0.915 0.371 0.918
O 0.371 0.915 0.918
O 0.085 0.629 0.082
O 0.326 0.326 0.628
O 0.674 0.674 0.372
O 0.906 0.906 0.356
O 0.094 0.094 0.644

---

(5)
# Fe2CuO4

Crystalline Fe2CuO4 at its relaxed geometry (PBE+U, Materials Project).

Summary:
**ΔE_f**: -1.37 eV per atom
**Final energy**: -0.227 Ha/atom
**Energy relative to the lowest polymorph listed for this composition**: 39 meV/atom

abc: 6.051 6.051 5.974
angles: 119.90 119.90 90.55
Fractional coordinates of all 14 atoms:
Fe 0.125 0.375 0.750
Fe 0.006 0.994 0.000
Fe 0.244 0.756 0.500
Fe 0.625 0.875 0.250
Cu 0.625 0.375 0.750
Cu 0.625 0.375 0.250
O 0.376 0.146 0.765
O 0.374 0.624 0.766
O 0.396 0.126 0.265
O 0.376 0.626 0.234
O 0.876 0.126 0.734
O 0.874 0.604 0.735
O 0.874 0.124 0.266
O 0.854 0.624 0.235

---

(6)
# BaYCo2O5

Crystalline BaYCo2O5 at its relaxed geometry (PBE+U, Materials Project).

Summary:
**ΔE_f**: -2.32 eV per atom
**Final energy**: -0.251 Ha/atom
**Energy relative to the lowest polymorph listed for this composition**: 49 meV/atom

abc: 3.904 7.539 7.689
angles: 90.00 90.00 90.00
Fractional coordinates of all 18 atoms:
Ba 0.000 0.000 0.499
Ba 0.000 0.000 0.001
Y 0.000 0.500 0.502
Y 0.000 0.500 0.998
Co 0.500 0.261 0.750
Co 0.500 0.266 0.250
Co 0.500 0.737 0.750
Co 0.500 0.736 0.250
O 0.500 0.682 0.500
O 0.000 0.305 0.250
O 0.000 0.697 0.250
O 0.500 0.000 0.250
O 0.500 0.682 0.000
O 0.500 0.316 0.505
O 0.500 0.316 0.995
O 0.000 0.306 0.750
O 0.000 0.697 0.750
O 0.500 0.999 0.750

---

(7)
# Co3PtF6

Crystalline Co3PtF6 at its relaxed geometry (PBE+U, Materials Project).

Summary:
**ΔE_f**: -1.14 eV per atom
**Final energy**: -0.156 Ha/atom

abc: 5.477 6.597 12.147
angles: 86.63 85.99 109.84
Fractional coordinates of all 10 atoms:
Co 0.000 0.000 0.500
Co 0.500 0.500 0.000
Co 0.000 0.500 0.000
Pt 0.000 0.000 0.000
F 0.959 0.262 0.917
F 0.041 0.738 0.083
F 0.932 0.963 0.643
F 0.068 0.037 0.357
F 0.667 0.791 0.949
F 0.333 0.209 0.051

---

(8)
# Li3Cr2P2C2O14

Crystalline Li3Cr2P2C2O14 at its relaxed geometry (PBE+U, Materials Project).

Summary:
**ΔE_f**: -2.32 eV per atom
**Final energy**: -0.261 Ha/atom

abc: 5.091 6.382 8.302
angles: 90.17 95.17 90.32
Fractional coordinates of all 23 atoms:
Li 0.249 0.544 0.724
Li 0.745 0.030 0.273
Li 0.232 0.255 0.093
Cr 0.797 0.245 0.677
Cr 0.202 0.742 0.324
P 0.728 0.748 0.584
P 0.277 0.248 0.421
C 0.696 0.249 0.957
C 0.298 0.749 0.045
O 0.359 0.723 0.906
O 0.941 0.247 0.919
O 0.522 0.272 0.831
O 0.796 0.942 0.687
O 0.834 0.557 0.681
O 0.141 0.268 0.577
O 0.426 0.724 0.537
O 0.578 0.225 0.461
O 0.867 0.768 0.423
O 0.171 0.063 0.311
O 0.215 0.438 0.305
O 0.477 0.778 0.173
O 0.058 0.745 0.092
O 0.627 0.227 0.098